A plane-wave DFT calculation with PBE with a Hubbard U was carried out for an optimized crystal structure of CaU2V2O17.

Structure (extended XYZ):
```
88
Lattice="8.5047 0.0000 0.0000 0.0000 10.4497 0.0000 0.0000 0.0000 15.2615" Properties=species:S:1:pos:R:3 pbc="T T T"
O 3.6186 6.9115 1.8027
O 1.8962 6.3037 10.7733
O 5.5479 5.3882 0.3608
O 1.8962 4.1459 3.1426
O 1.2955 0.1633 7.2699
O 5.9851 2.0572 8.2059
O 0.1493 2.2082 9.3843
V 1.2474 5.5088 14.4734
O 7.8709 8.7630 13.4588
O 0.0000 10.0933 11.4461
O 7.9527 4.2017 7.2801
O 2.9568 5.0615 14.9007
Ca 0.0000 7.0010 3.8154
O 3.2727 10.2061 12.9102
V 7.2573 4.9408 0.7880
O 6.6085 4.1459 4.4881
U 8.2832 1.9246 7.5816
O 3.7003 9.4266 0.3506
O 7.5251 4.9813 9.9819
O 6.2947 2.0986 11.4406
V 5.4997 0.2840 8.4188
O 8.3554 8.2414 5.8772
O 4.4016 7.4331 13.5079
O 0.0000 0.3563 3.8154
O 0.9796 4.9813 12.9102
Ca 0.0000 3.4486 11.4461
O 0.6338 8.7630 9.4334
O 5.2320 0.2435 2.3512
V 1.2474 4.9408 6.8427
Ca 4.2524 1.7762 3.8154
O 2.2100 8.3510 3.8208
O 2.3562 1.0789 10.7733
O 1.7327 7.2821 14.6863
O 7.5251 5.4684 2.3512
O 6.7720 3.1676 0.5752
O 5.9851 8.3924 0.5752
O 2.0424 7.3235 11.4516
V 7.2573 5.5088 8.4188
U 0.2215 1.9246 0.0491
O 2.0424 3.1262 3.8208
O 6.6085 6.3037 12.1189
O 7.9527 6.2479 14.9108
O 5.2320 10.2061 9.9819
O 6.7720 7.2821 8.2059
O 3.6186 3.5381 9.4334
U 4.4739 3.3002 15.2124
O 4.1031 3.0166 1.7535
O 0.6338 1.6867 1.8027
Ca 4.2524 8.6735 11.4461
O 7.2092 10.2863 7.9915
O 2.3562 9.3708 3.1426
O 0.5520 4.2017 0.3506
O 4.8044 9.4266 7.2801
O 5.5479 5.0615 7.9915
U 0.2215 8.5250 7.6798
O 4.1031 7.4331 9.3843
O 0.5520 6.2479 7.9814
O 3.7003 1.0231 7.9814
U 4.0308 3.3002 7.6798
O 6.1485 1.0789 12.1189
O 6.2947 8.3510 3.8099
O 4.4016 3.0166 5.8772
V 3.0050 10.1656 6.8427
O 7.2092 0.1633 0.3608
O 2.5196 2.0572 14.6863
O 2.9568 5.3882 7.2699
O 2.5196 8.3924 7.0556
O 4.8044 1.0231 14.9108
V 5.4997 10.1656 0.7880
U 4.4739 7.1495 7.5816
U 8.2832 8.5250 15.2124
O 1.2955 10.2863 14.9007
O 4.8861 6.9115 5.8281
O 8.3554 2.2082 13.5079
O 4.2524 5.5812 3.8154
O 0.1493 8.2414 1.7535
O 6.4623 3.1262 3.8099
O 3.2727 0.2435 5.2795
O 4.2524 4.8685 11.4461
O 7.8709 1.6867 5.8281
O 6.1485 9.3708 4.4881
O 6.4623 7.3235 11.4406
V 3.0050 0.2840 14.4734
O 4.8861 3.5381 13.4588
O 2.2100 2.0986 11.4516
O 0.9796 5.4684 5.2795
O 1.7327 3.1676 7.0556
U 4.0308 7.1495 0.0491
```

Summary:
Space-group type   No. 60
Energy with MP2020 corrections   -682.4 eV for the cell shown
Calculated density   4.36 g/cm3
Calculated volume   15.4 Å³ per atom
Calculated total energy   -7.476 eV per atom
ΔE_f   -1.988 eV/atom

=====

A plane-wave DFT calculation with PBE with a Hubbard U was carried out for an optimized crystal structure of LiMn7O3F9.

Structure (extended XYZ):
```
20
Lattice="6.3712 0.0000 0.0000 0.0070 6.4192 0.0000 0.0440 0.0188 6.4523" Properties=species:S:1:pos:R:3 pbc="T T T"
O 0.7340 2.1202 0.2052
F 3.8322 2.8573 5.2774
O 4.2170 0.2719 0.6258
Mn 1.5715 5.9684 3.5056
O 0.2105 5.6456 2.0331
F 1.8868 6.0349 5.6304
F 6.0639 0.6361 4.4089
F 2.7283 1.2440 2.8469
F 3.6621 5.2086 3.8005
Mn 4.7703 0.2539 2.6677
F 5.7856 4.5301 6.0033
F 2.8219 3.7357 1.2991
F 1.3197 3.6601 3.7140
Li 3.2708 3.1763 3.2936
Mn 0.4126 3.6267 1.5940
Mn 3.6602 4.9439 6.1187
F 5.2394 2.6356 2.8261
Mn 6.2988 0.1751 0.1750
Mn 2.7593 1.6771 0.3904
Mn 6.1370 2.7594 4.8816
```

Summary:
Space-group type   No. 1
Energy with MP2020 corrections   -150.7 eV for the cell shown
Calculated density   3.84 g/cm3
Calculated volume   13.2 Å³ per atom
Calculated total energy   -6.641 eV per atom
ΔE_f   -2.630 eV/atom

=====

A plane-wave DFT calculation with PBE with a Hubbard U was carried out for an optimized crystal structure of NaV13O18.

Structure (extended XYZ):
```
32
Lattice="2.3570 -0.8080 7.6077 -4.5901 -6.1764 -2.2066 6.3244 0.6971 -4.8581" Properties=species:S:1:pos:R:3 pbc="T T T"
V 1.3276 -3.8217 -2.5934
O 2.9837 -3.9655 -1.4740
O 3.7660 -3.1951 1.5522
O 0.3253 -3.0922 -1.0092
V 4.4962 -1.4613 0.8614
O 5.6162 -2.3047 -0.8032
O -1.5249 -3.9825 1.3463
O 1.1357 -4.9571 0.9685
O 6.0666 -1.7818 2.1015
O 1.9354 -4.2924 3.9151
O 2.9556 -1.3302 -0.4254
Na 0.0000 0.0000 0.0000
V 6.3522 -0.4295 -1.4746
V -1.2447 -5.5271 -3.2575
O 4.5025 -0.3710 -2.4940
V 5.3360 -0.7601 3.8006
O -1.9753 -4.5055 -1.5585
O 2.4090 -4.6948 -4.0682
V 0.2631 -4.0710 2.5400
V 2.7637 -2.4656 3.1365
O 3.6072 -0.5356 2.5883
O -0.4111 -5.9162 3.0371
O 2.1559 -1.9948 -3.3721
V -0.4049 -4.8259 -0.3184
V -2.2609 -5.8577 2.0177
O 1.1077 -2.3217 2.0171
V 3.8282 -2.2162 -1.9969
O 1.6824 -1.5924 4.6113
V 0.9442 -3.3432 5.5354
V 2.0457 -3.1436 0.2715
O 0.4842 -5.7516 -2.0453
V 3.1471 -2.9440 -4.9924
```

Summary:
Space-group type   No. 148
Energy with MP2020 corrections   -283.5 eV for the cell shown
Calculated density   4.29 g/cm3
Calculated volume   11.8 Å³ per atom
Calculated total energy   -7.781 eV per atom
ΔE_f   -2.343 eV/atom

=====

A plane-wave DFT calculation with PBE with a Hubbard U was carried out for an optimized crystal structure of MnH16C4NO2F4.

Structure (extended XYZ):
```
56
Lattice="2.8059 8.1318 0.0000 -2.8059 8.1318 0.0000 0.0000 1.4877 10.7688" Properties=species:S:1:pos:R:3 pbc="T T T"
H 1.1089 7.2239 4.3632
H -2.4735 9.3801 6.7013
F -0.0024 4.3969 1.2835
H 1.1089 9.7834 1.0212
C 1.7405 9.3080 1.7755
Mn -1.4029 4.8097 5.3844
F -1.1923 6.5410 4.7327
C 0.0174 8.3252 7.2842
H 0.1300 4.2091 2.9612
F 1.1923 11.2102 6.0361
H -1.1082 13.6893 6.5930
H -0.1300 4.9530 8.3456
H 0.6082 8.9496 6.6058
H -1.1082 4.8058 9.5602
H 0.6641 10.7046 8.1626
H -0.6082 8.8016 4.1630
H 0.6641 7.7904 7.9906
C -0.0174 7.5814 1.8998
H 0.1300 12.7982 2.4232
H -0.5480 15.0669 3.0181
C 1.7405 7.6994 3.6089
H 2.4735 8.6363 1.3169
F -0.0024 12.6104 4.1009
C 0.0174 10.1698 8.8690
O 0.1581 13.0396 1.4586
C -1.7405 10.0518 7.1599
H 0.6010 6.8747 1.3370
O 0.1581 3.9677 3.9258
F -1.1923 10.4664 0.6517
H 1.1082 12.9454 1.2086
H -0.6082 8.2058 1.2214
F 0.0024 5.1408 6.6679
H 0.6082 9.5454 9.5474
C -1.7405 8.4432 8.9933
H -2.4735 9.1149 9.4519
H -0.6641 7.0466 2.6062
H 0.5480 15.8108 8.4025
Mn 1.4029 4.0659 0.0000
H 1.1082 4.0619 4.1758
H 2.4735 8.3711 4.0675
N 0.8651 8.5037 2.6922
H -1.1089 10.5273 6.4056
O -0.1581 13.7835 6.8430
H 0.6010 10.1327 4.0474
F 0.0024 13.3543 9.4853
H 0.5480 2.6842 7.7507
H -0.5480 1.9404 2.3663
H -0.1300 13.5421 7.8076
H -0.6641 9.9608 2.7782
C -0.0174 9.4260 3.4846
F 1.1923 7.2848 10.1171
N -0.8651 9.2475 8.0766
H -0.6010 10.8765 9.4318
H -0.6010 7.6185 6.7214
O -0.1581 4.7116 9.3102
H -1.1089 7.9678 9.7476
```

Summary:
Space-group type   No. 15
Energy with MP2020 corrections   -302.9 eV for the cell shown
Calculated density   1.63 g/cm3
Calculated volume   8.8 Å³ per atom
Calculated total energy   -5.235 eV per atom
ΔE_f   -0.901 eV/atom

=====

- Among the records above, which one has the highest calculated total energy?
  MnH16C4NO2F4

=====

- Which formula does entry 1 have?
  CaU2V2O17

=====

- Which of these has the lowest calculated volume?
  MnH16C4NO2F4